Ba3SrTa2O9 | PBE | relaxed

a b c (Å): 6.1508 6.1508 15.6139
angles (deg): 90.00 90.00 120.00
Positions (direct):
Ba 0.0000 0.0000 0.2500
Ta 0.3333 0.6667 0.6545
O 0.3560 0.1148 0.4019
O 0.9544 0.5249 0.2500
O 0.7588 0.6440 0.0981
O 0.8852 0.2412 0.4019
O 0.2412 0.3560 0.5981
O 0.5705 0.0456 0.2500
O 0.7588 0.6440 0.4019
O 0.4751 0.4295 0.2500
Ba 0.6667 0.3333 0.8808
Ta 0.6667 0.3333 0.1545
Ba 0.3333 0.6667 0.1192
Ta 0.3333 0.6667 0.8455
Ba 0.3333 0.6667 0.3808
Sr 0.0000 0.0000 0.0000
O 0.8852 0.2412 0.0981
Sr 0.0000 0.0000 0.5000
O 0.6440 0.8852 0.9019
Ba 0.0000 0.0000 0.7500
O 0.6440 0.8852 0.5981
O 0.0456 0.4751 0.7500
O 0.3560 0.1148 0.0981
O 0.4295 0.9544 0.7500
O 0.5249 0.5705 0.7500
Ta 0.6667 0.3333 0.3455
Ba 0.6667 0.3333 0.6192
O 0.1148 0.7588 0.9019
O 0.2412 0.3560 0.9019
O 0.1148 0.7588 0.5981

Results
volume = 17.052 Å³/atom
VASP energy = -8.040 eV per atom
excess energy over the best structure of this formula in the dataset = 0.000 eV per formula unit
SG = P6_3/m
total magnetization = 0.00 μB/cell



BaSrTa2O7 | PBE | relaxed

a b c (Å): 11.1826 11.1826 11.1826
angles (deg): 159.24 138.59 46.76
Positions (direct):
O 0.0796 0.0796 0.0000
O 0.7127 0.0000 0.7127
O 0.0106 0.8075 0.2032
O 0.9894 0.1925 0.7968
O 0.3397 0.5926 0.7472
O 0.6603 0.4074 0.2528
Sr 0.0000 0.5000 0.5000
Ta 0.1455 0.8973 0.2482
O 0.9204 0.9204 0.0000
O 0.6043 0.8075 0.7968
O 0.6127 0.1127 0.5000
Ba 0.2380 0.7380 0.5000
Ta 0.8545 0.1027 0.7518
Ta 0.3509 0.1027 0.2482
Sr 0.5000 0.5000 0.0000
O 0.1546 0.4074 0.7472
Ba 0.7620 0.2620 0.5000
Ta 0.6491 0.8973 0.7518
O 0.3957 0.1925 0.2032
O 0.2873 0.0000 0.2873
O 0.8454 0.5926 0.2528
O 0.3873 0.8873 0.5000

Results
volume = 14.868 Å³/atom
VASP energy = -8.685 eV per atom
SG = Immm
total magnetization = 0.00 μB/cell



Ba3SrTa2O9 | PBE | relaxed

a b c (Å): 6.0219 6.0219 7.6768
angles (deg): 90.00 90.00 120.00
Positions (direct):
O 0.6443 0.8221 0.2993
O 0.8221 0.6443 0.7007
O 0.3557 0.1779 0.7007
O 0.1779 0.8221 0.2993
Ba 0.6667 0.3333 0.3050
Ba 0.0000 0.0000 0.0000
Ta 0.3333 0.6667 0.1656
O 0.8221 0.1779 0.7007
O 0.1779 0.3557 0.2993
O 0.0000 0.5000 0.0000
Sr 0.0000 0.0000 0.5000
Ba 0.3333 0.6667 0.6950
O 0.5000 0.0000 0.0000
O 0.5000 0.5000 0.0000
Ta 0.6667 0.3333 0.8344

Results
volume = 16.073 Å³/atom
VASP energy = -8.025 eV per atom
excess energy over the best structure of this formula in the dataset = 0.223 eV per formula unit
SG = P-3m1
total magnetization = 0.00 μB/cell



Ba3SrTa2O9 | PBE | relaxed

a b c (Å): 6.0954 6.0954 15.9901
angles (deg): 90.00 90.00 120.00
Positions (direct):
O 0.4820 0.9640 0.2500
Ta 0.6667 0.3333 0.6563
O 0.1736 0.3471 0.1015
Sr 0.0000 0.0000 0.5000
Ta 0.3333 0.6667 0.1563
O 0.0360 0.5180 0.2500
O 0.8264 0.6529 0.6015
Ba 0.0000 0.0000 0.7500
O 0.3471 0.1736 0.8985
O 0.1736 0.8264 0.3985
O 0.5180 0.0360 0.7500
O 0.1736 0.3471 0.3985
Ba 0.6667 0.3333 0.1234
O 0.4820 0.5180 0.2500
O 0.8264 0.1736 0.8985
O 0.6529 0.8264 0.1015
Sr 0.0000 0.0000 0.0000
O 0.6529 0.8264 0.3985
Ba 0.6667 0.3333 0.3766
O 0.8264 0.1736 0.6015
Ta 0.6667 0.3333 0.8437
O 0.1736 0.8264 0.1015
Ba 0.3333 0.6667 0.8766
Ba 0.3333 0.6667 0.6234
O 0.5180 0.4820 0.7500
O 0.9640 0.4820 0.7500
O 0.3471 0.1736 0.6015
Ta 0.3333 0.6667 0.3437
O 0.8264 0.6529 0.8985
Ba 0.0000 0.0000 0.2500

Results
volume = 17.150 Å³/atom
VASP energy = -8.024 eV per atom
excess energy over the best structure of this formula in the dataset = 0.242 eV per formula unit
SG = P6_3/mmc
total magnetization = 0.00 μB/cell



BaSr7Ti8O24 | PBE | relaxed

a b c (Å): 7.9161 7.9161 7.9161
angles (deg): 90.00 90.00 90.00
Positions (direct):
O 0.5000 0.2463 0.2463
O 0.2491 0.7509 0.0000
O 0.2491 0.0000 0.2491
Ti 0.2487 0.7513 0.2487
Sr 0.0000 0.5000 0.0000
Ti 0.7513 0.7513 0.7513
O 0.7509 0.0000 0.2491
O 0.2491 0.0000 0.7509
O 0.5000 0.7537 0.7537
Ti 0.2487 0.2487 0.2487
O 0.7537 0.5000 0.2463
Ti 0.7513 0.2487 0.2487
O 0.2463 0.7537 0.5000
O 0.0000 0.7509 0.2491
O 0.2463 0.5000 0.2463
O 0.7537 0.2463 0.5000
O 0.2463 0.5000 0.7537
O 0.7509 0.2491 0.0000
O 0.5000 0.2463 0.7537
Sr 0.5000 0.5000 0.0000
Sr 0.5000 0.0000 0.5000
O 0.7537 0.7537 0.5000
O 0.5000 0.7537 0.2463
Sr 0.5000 0.0000 0.0000
Ti 0.2487 0.2487 0.7513
Ba 0.5000 0.5000 0.5000
Sr 0.0000 0.0000 0.5000
Ti 0.7513 0.7513 0.2487
O 0.2491 0.2491 0.0000
O 0.0000 0.7509 0.7509
O 0.7537 0.5000 0.7537
O 0.0000 0.2491 0.7509
Ti 0.2487 0.7513 0.7513
O 0.2463 0.2463 0.5000
O 0.7509 0.7509 0.0000
Sr 0.0000 0.5000 0.5000
Sr 0.0000 0.0000 0.0000
O 0.0000 0.2491 0.2491
Ti 0.7513 0.2487 0.7513
O 0.7509 0.0000 0.7509

Results
volume = 12.401 Å³/atom
VASP energy = -8.020 eV per atom
SG = Pm-3m
total magnetization = 0.00 μB/cell



BaSrTi2O6 | PBE | relaxed

a b c (Å): 3.9910 3.9910 7.9750
angles (deg): 90.00 90.00 90.00
Positions (direct):
O 0.5000 0.0000 0.7413
Sr 0.5000 0.5000 0.5000
Ba 0.5000 0.5000 0.0000
O 0.0000 0.5000 0.2587
O 0.0000 0.0000 0.0000
O 0.0000 0.5000 0.7413
O 0.0000 0.0000 0.5000
Ti 0.0000 0.0000 0.2553
Ti 0.0000 0.0000 0.7447
O 0.5000 0.0000 0.2587

Results
volume = 12.703 Å³/atom
VASP energy = -8.010 eV per atom
SG = P4/mmm
total magnetization = 0.00 μB/cell



Ba3Sr5Ti8O20 | PBE | relaxed

a b c (Å): 11.4598 11.4472 17.8449
angles (deg): 108.74 108.68 89.96
Positions (direct):
Ba 0.0562 0.8090 0.1192
Sr 0.6933 0.4431 0.3879
Sr 0.1924 0.4422 0.3874
O 0.9332 0.4194 0.8648
O 0.3689 0.6202 0.9925
O 0.6165 0.6234 0.9934
O 0.3739 0.1244 0.4955
Sr 0.0555 0.8009 0.6126
Ti 0.9971 0.4981 0.9977
Sr 0.9417 0.6943 0.3877
Ba 0.1879 0.9402 0.3812
Sr 0.8054 0.0602 0.6121
Ti 0.4951 0.4983 0.9976
Sr 0.8045 0.5610 0.6134
O 0.7387 0.4929 0.2609
O 0.8682 0.1222 0.9937
Ti 0.2467 0.7471 0.9972
O 0.6209 0.6214 0.4926
Sr 0.9427 0.1965 0.3875
O 0.4619 0.0315 0.7454
O 0.7095 0.9672 0.7446
Ti 0.6210 0.6124 0.2547
Ti 0.7455 0.7501 0.9984
O 0.6199 0.3724 0.9993
O 0.1300 0.3800 0.5092
Ti 0.0011 0.4998 0.5014
Ti 0.2502 0.7504 0.5007
Ba 0.5567 0.8095 0.1203
Ba 0.8057 0.5599 0.1192
Sr 0.4415 0.1946 0.3867
Sr 0.6921 0.9409 0.3866
O 0.2445 0.0003 0.2551
Ti 0.8614 0.8934 0.7476
Ti 0.8647 0.3884 0.7456
O 0.1218 0.3739 0.9986
O 0.8119 0.8091 0.1323
Sr 0.9428 0.1966 0.8868
Ti 0.6219 0.1144 0.2543
Sr 0.4434 0.6983 0.8864
O 0.9357 0.4133 0.3729
O 0.3147 0.8081 0.1316
O 0.0630 0.5712 0.1319
O 0.2384 0.4905 0.2596
O 0.3189 0.7941 0.6296
O 0.6198 0.1210 0.4914
O 0.1174 0.1244 0.9938
Ti 0.5004 0.9994 0.5006
O 0.1214 0.6197 0.9941
O 0.1815 0.1968 0.8658
O 0.6768 0.6975 0.8667
O 0.4893 0.5172 0.2610
O 0.5595 0.5853 0.6283
O 0.8694 0.6222 0.9950
Ti 0.7503 0.7514 0.5011
O 0.0694 0.5850 0.6298
O 0.6856 0.2121 0.3723
O 0.4687 0.5212 0.7470
O 0.9872 0.5158 0.2596
Sr 0.6920 0.9409 0.8865
O 0.3161 0.2954 0.6307
O 0.8116 0.2896 0.6280
O 0.3791 0.3795 0.5090
O 0.8796 0.3800 0.5101
O 0.1211 0.6217 0.4936
O 0.1191 0.1255 0.4952
Ba 0.3059 0.0602 0.1191
O 0.1214 0.8744 0.0002
O 0.5625 0.0735 0.1318
O 0.9252 0.9292 0.8675
Ti 0.4965 0.9989 0.9973
O 0.6190 0.1210 0.9928
O 0.4339 0.9231 0.8657
Ba 0.6851 0.4361 0.8781
Ti 0.7463 0.2475 0.9975
O 0.5666 0.0837 0.6302
O 0.4367 0.9141 0.3716
O 0.3709 0.3751 0.9994
O 0.1848 0.7013 0.3730
O 0.8128 0.7961 0.6300
Ti 0.3651 0.8925 0.7468
O 0.4362 0.4111 0.3722
Ba 0.8061 0.0614 0.1209
Ti 0.8701 0.8921 0.2542
O 0.8786 0.8792 0.5099
O 0.2199 0.9792 0.7391
Ti 0.8701 0.3915 0.2546
Sr 0.1925 0.4393 0.8856
O 0.4268 0.4186 0.8665
O 0.9659 0.0242 0.7464
O 0.4932 0.0163 0.2602
O 0.8123 0.3089 0.1324
O 0.2153 0.4657 0.7451
O 0.8698 0.8773 0.0005
O 0.0585 0.0874 0.6290
O 0.9316 0.9116 0.3723
Ba 0.3070 0.5608 0.1206
O 0.6808 0.1877 0.8666
O 0.3729 0.8728 0.9985
Ti 0.3717 0.3914 0.2545
O 0.0609 0.0742 0.1313
O 0.3702 0.6195 0.4913
O 0.8724 0.3724 0.9988
Sr 0.5567 0.3010 0.6122
Sr 0.0535 0.3028 0.6128
Sr 0.3070 0.5617 0.6129
Ba 0.0564 0.3094 0.1201
Ti 0.9984 0.0001 0.5013
O 0.3704 0.1232 0.9928
Ba 0.9343 0.6907 0.8776
Ti 0.6128 0.6107 0.7470
O 0.6871 0.7091 0.3727
O 0.8717 0.6215 0.4941
Ti 0.4991 0.4987 0.5003
O 0.5628 0.5726 0.1324
O 0.1864 0.2087 0.3725
Ti 0.1202 0.6094 0.2539
Ti 0.6121 0.1021 0.7473
O 0.8680 0.1200 0.4906
Ti 0.1210 0.1146 0.2533
O 0.7247 0.4825 0.7408
Sr 0.4412 0.1955 0.8862
O 0.6294 0.3800 0.5099
O 0.3802 0.8783 0.5089
O 0.9722 0.5090 0.7376
O 0.6212 0.8751 0.9994
Ba 0.1848 0.9363 0.8781
Ti 0.3640 0.3921 0.7479
Ti 0.1170 0.6020 0.7464
Ti 0.9948 0.0001 0.9984
O 0.3133 0.3092 0.1319
O 0.1284 0.8792 0.5108
O 0.1831 0.6866 0.8659
Ti 0.2504 0.2525 0.5017
O 0.7414 0.9969 0.2602
Ba 0.5566 0.3094 0.1203
Ti 0.1121 0.1083 0.7470
Ti 0.7493 0.2507 0.5000
Sr 0.5552 0.7998 0.6114
O 0.6290 0.8791 0.5081
Ti 0.3733 0.8930 0.2531
O 0.9908 0.0152 0.2594
Ti 0.2467 0.2499 0.9981
Sr 0.3037 0.0611 0.6123
Sr 0.4437 0.6959 0.3874

Results
volume = 14.489 Å³/atom
VASP energy = -7.754 eV per atom
SG = P1
total magnetization = 18.07 μB/cell



BaSr3Ti4O12 | PBE | relaxed

a b c (Å): 3.9684 3.9684 15.8764
angles (deg): 90.00 90.00 90.00
Positions (direct):
O 0.5000 0.5000 0.0000
Ti 0.5000 0.5000 0.3754
O 0.5000 0.0000 0.8703
Ti 0.5000 0.5000 0.8718
O 0.0000 0.5000 0.3752
O 0.5000 0.0000 0.6248
O 0.5000 0.0000 0.1297
Ti 0.5000 0.5000 0.1282
Sr 0.0000 0.0000 0.2509
O 0.5000 0.5000 0.7486
O 0.0000 0.5000 0.8703
Ba 0.0000 0.0000 0.0000
O 0.0000 0.5000 0.1297
Ti 0.5000 0.5000 0.6246
O 0.5000 0.0000 0.3752
O 0.5000 0.5000 0.5000
O 0.0000 0.5000 0.6248
Sr 0.0000 0.0000 0.5000
Sr 0.0000 0.0000 0.7491
O 0.5000 0.5000 0.2514

Results
volume = 12.501 Å³/atom
VASP energy = -8.019 eV per atom
SG = P4/mmm
total magnetization = 0.00 μB/cell



BaSrTm4O8 | PBE | relaxed

a b c (Å): 3.4052 10.2596 11.9848
angles (deg): 90.00 90.00 90.00
Positions (direct):
O 0.7500 0.4806 0.2158
Tm 0.7500 0.0749 0.1079
O 0.7500 0.2905 0.6670
Tm 0.2500 0.9207 0.3943
Tm 0.2500 0.4207 0.1057
Ba 0.7500 0.2466 0.3507
Tm 0.2500 0.4285 0.6147
Tm 0.2500 0.9285 0.8853
O 0.7500 0.7905 0.8330
O 0.7500 0.9806 0.2842
O 0.2500 0.5169 0.7827
Tm 0.7500 0.0765 0.6120
O 0.7500 0.0765 0.9216
O 0.2500 0.2096 0.1586
O 0.2500 0.6136 0.0147
O 0.2500 0.4328 0.4289
O 0.2500 0.1136 0.4853
O 0.7500 0.3786 0.9772
O 0.2500 0.0169 0.7173
O 0.2500 0.7096 0.3414
Ba 0.7500 0.7466 0.1493
Tm 0.7500 0.5765 0.8880
Sr 0.2500 0.7539 0.6487
O 0.2500 0.9328 0.0711
O 0.7500 0.5765 0.5784
Tm 0.7500 0.5749 0.3921
O 0.7500 0.8786 0.5228
Sr 0.2500 0.2539 0.8513

Results
volume = 14.954 Å³/atom
VASP energy = -7.740 eV per atom
SG = Pmc2_1
total magnetization = 0.00 μB/cell



Ba2SrUO6 | PBE | relaxed

a b c (Å): 6.3587 6.3587 6.3587
angles (deg): 60.00 60.00 60.00
Positions (direct):
Sr 0.5000 0.5000 0.5000
U 0.0000 0.0000 0.0000
Ba 0.7500 0.7500 0.7500
O 0.7678 0.2322 0.7678
O 0.7678 0.7678 0.2322
O 0.7678 0.2322 0.2322
O 0.2322 0.2322 0.7678
Ba 0.2500 0.2500 0.2500
O 0.2322 0.7678 0.7678
O 0.2322 0.7678 0.2322

Results
volume = 18.180 Å³/atom
VASP energy = -7.677 eV per atom
excess energy over the best structure of this formula in the dataset = 0.706 eV per formula unit
SG = Fm-3m
total magnetization = 0.00 μB/cell



Ba2SrUO6 | PBE | relaxed

a b c (Å): 6.2773 6.2773 6.2773
angles (deg): 61.24 61.24 61.24
Positions (direct):
O 0.7213 0.3474 0.1957
O 0.6526 0.8043 0.2787
O 0.8043 0.2787 0.6526
O 0.1957 0.7213 0.3474
Ba 0.7466 0.7466 0.7466
Ba 0.2534 0.2534 0.2534
O 0.3474 0.1957 0.7213
Sr 0.0000 0.0000 0.0000
O 0.2787 0.6526 0.8043
U 0.5000 0.5000 0.5000

Results
volume = 17.978 Å³/atom
VASP energy = -7.739 eV per atom
excess energy over the best structure of this formula in the dataset = 0.090 eV per formula unit
SG = R-3
total magnetization = 0.00 μB/cell



no.,energy of formation (eV/atom)
1,-3.406
2,-3.490
3,-3.391
4,-3.390
5,-3.541
6,-3.514
7,-3.238
8,-3.534
9,-3.769
10,-3.439
11,-3.501